(1)
Crystalline SrAs2O8 at its relaxed geometry. Source: the Materials Project, functional PBE-GGA. Values from VASP.

Properties
Size of the total moment = 0.00 μB per cell
V = 327.9 Å³ per cell
SG = P-1
Formation enthalpy at 0 K = -13.668 eV per formula unit

```
&SYSTEM
  ibrav = 0, nat = 22, ntyp = 3
/
ATOMIC_SPECIES
O 16.00 O.upf
Sr 87.62 Sr.upf
As 74.92 As.upf
CELL_PARAMETERS angstrom
-2.160 4.976 3.605
-5.863 -4.782 0.978
6.847 -2.965 3.040
ATOMIC_POSITIONS crystal
O 0.519 0.591 0.985
O 0.823 0.783 0.893
O 0.424 0.482 0.551
O 0.177 0.217 0.107
O 0.750 0.988 0.468
O 0.247 0.635 0.202
O 0.904 0.981 0.650
O 0.919 0.611 0.374
O 0.753 0.365 0.798
O 0.303 0.880 0.793
O 0.096 0.019 0.350
O 0.576 0.518 0.449
O 0.250 0.012 0.532
O 0.081 0.389 0.626
O 0.481 0.409 0.015
O 0.697 0.120 0.207
Sr 0.272 0.888 0.093
Sr 0.728 0.112 0.907
As 0.917 0.173 0.428
As 0.083 0.827 0.572
As 0.647 0.550 0.805
As 0.353 0.450 0.195
```


(2)
Crystalline Ca2ThSi8O20 at its relaxed geometry. Source: the Materials Project, functional PBE-GGA. Values from VASP.

Properties
Size of the total moment = 0.00 μB per cell
V = 431.3 Å³ per cell
SG = I422
Formation enthalpy at 0 K = -106.382 eV per formula unit

```
&SYSTEM
  ibrav = 0, nat = 31, ntyp = 4
/
ATOMIC_SPECIES
O 16.00 O.upf
Si 28.09 Si.upf
Th 232.04 Th.upf
Ca 40.08 Ca.upf
CELL_PARAMETERS angstrom
-3.773 3.773 7.575
3.773 -3.773 7.575
3.773 3.773 -7.575
ATOMIC_POSITIONS crystal
O 0.974 0.825 0.638
O 0.456 0.544 0.500
O 0.044 0.956 0.500
O 0.664 0.813 0.638
O 0.873 0.579 0.199
O 0.544 0.044 0.088
O 0.956 0.456 0.912
O 0.175 0.026 0.362
O 0.187 0.336 0.362
O 0.380 0.674 0.801
O 0.825 0.187 0.851
O 0.026 0.664 0.851
O 0.421 0.127 0.801
O 0.326 0.620 0.199
O 0.620 0.421 0.294
O 0.813 0.175 0.149
O 0.336 0.974 0.149
O 0.579 0.380 0.706
O 0.674 0.873 0.294
O 0.127 0.326 0.706
Si 0.894 0.816 0.416
Si 0.600 0.184 0.078
Si 0.479 0.894 0.078
Si 0.521 0.600 0.416
Si 0.400 0.479 0.584
Si 0.816 0.400 0.922
Si 0.106 0.521 0.922
Si 0.184 0.106 0.584
Th 0.000 0.000 0.000
Ca 0.500 0.000 0.500
Ca 0.000 0.500 0.500
```


(3)
Crystalline Hf6Be15Co8 at its relaxed geometry. Source: the Materials Project, functional PBE-GGA. Values from VASP.

Properties
V = 326.5 Å³ per cell
SG = Fm-3m
Formation enthalpy at 0 K = -9.788 eV per formula unit

```
&SYSTEM
  ibrav = 0, nat = 29, ntyp = 3
/
ATOMIC_SPECIES
Be 9.01 Be.upf
Co 58.93 Co.upf
Hf 178.49 Hf.upf
CELL_PARAMETERS angstrom
1.739 3.493 6.672
-1.894 7.414 1.088
-5.622 1.864 4.966
ATOMIC_POSITIONS crystal
Be 0.000 0.000 0.000
Be 0.500 0.000 0.000
Be 0.967 0.678 0.678
Be 0.500 0.500 0.000
Be 0.000 0.500 0.000
Be 0.000 0.000 0.500
Be 0.322 0.322 0.322
Be 0.678 0.678 0.967
Be 0.678 0.967 0.678
Be 0.322 0.322 0.033
Be 0.500 0.000 0.500
Be 0.678 0.678 0.678
Be 0.322 0.033 0.322
Be 0.033 0.322 0.322
Be 0.000 0.500 0.500
Co 0.875 0.374 0.875
Co 0.125 0.125 0.125
Co 0.125 0.125 0.626
Co 0.875 0.875 0.875
Co 0.875 0.875 0.374
Co 0.626 0.125 0.125
Co 0.125 0.626 0.125
Co 0.374 0.875 0.875
Hf 0.289 0.289 0.711
Hf 0.289 0.711 0.289
Hf 0.711 0.289 0.711
Hf 0.289 0.711 0.711
Hf 0.711 0.711 0.289
Hf 0.711 0.289 0.289
```


(4)
Crystalline Li2Mg at its relaxed geometry. Source: the Materials Project, functional PBE-GGA. Values from VASP.

Properties
V = 121.7 Å³ per cell
SG = Cmcm
Formation enthalpy at 0 K = -0.078 eV per formula unit

```
&SYSTEM
  ibrav = 0, nat = 6, ntyp = 2
/
ATOMIC_SPECIES
Li 6.94 Li.upf
Mg 24.30 Mg.upf
CELL_PARAMETERS angstrom
1.595 -7.614 0.000
1.595 7.614 0.000
0.000 0.000 5.009
ATOMIC_POSITIONS crystal
Li 0.737 0.263 0.250
Li 0.399 0.601 0.250
Li 0.601 0.399 0.750
Li 0.263 0.737 0.750
Mg 0.068 0.932 0.250
Mg 0.932 0.068 0.750
```


(5)
Crystalline BaReH9 at its relaxed geometry. Source: the Materials Project, functional PBE-GGA. Values from VASP.

Properties
Size of the total moment = 0.01 μB per cell
V = 233.3 Å³ per cell
SG = Cmcm
Formation enthalpy at 0 K = -4.391 eV per formula unit
E above lowest polymorph = 0.236 eV per formula unit

```
&SYSTEM
  ibrav = 0, nat = 22, ntyp = 3
/
ATOMIC_SPECIES
H 1.01 H.upf
Ba 137.33 Ba.upf
Re 186.21 Re.upf
CELL_PARAMETERS angstrom
2.814 -4.237 0.000
2.814 4.237 0.000
0.000 0.000 9.782
ATOMIC_POSITIONS crystal
H 0.240 0.255 0.250
H 0.465 0.535 0.630
H 0.131 0.502 0.124
H 0.869 0.498 0.624
H 0.465 0.535 0.870
H 0.502 0.131 0.876
H 0.535 0.465 0.130
H 0.869 0.498 0.876
H 0.502 0.131 0.624
H 0.535 0.465 0.370
H 0.745 0.760 0.250
H 0.131 0.502 0.376
H 0.188 0.812 0.250
H 0.812 0.188 0.750
H 0.498 0.869 0.376
H 0.760 0.745 0.750
H 0.498 0.869 0.124
H 0.255 0.240 0.750
Ba 0.000 0.000 0.000
Ba 0.000 0.000 0.500
Re 0.387 0.613 0.250
Re 0.613 0.387 0.750
```


(6)
Crystalline NaMgF3 at its relaxed geometry. Source: the Materials Project, functional PBE-GGA. Values from VASP.

Properties
Size of the total moment = 0.00 μB per cell
V = 61.7 Å³ per cell
SG = Pm-3m
Formation enthalpy at 0 K = -17.282 eV per formula unit

```
&SYSTEM
  ibrav = 0, nat = 5, ntyp = 3
/
ATOMIC_SPECIES
F 19.00 F.upf
Mg 24.30 Mg.upf
Na 22.99 Na.upf
CELL_PARAMETERS angstrom
3.951 0.000 0.000
0.000 3.951 0.000
0.000 0.000 3.951
ATOMIC_POSITIONS crystal
F 0.500 0.500 0.000
F 0.000 0.500 0.500
F 0.500 0.000 0.500
Mg 0.500 0.500 0.500
Na 0.000 0.000 0.000
```